[1]
Ta2TcMo: relaxed, r2SCAN.

Properties
Formation energy: -0.375 eV/atom
Calculated total energy: -37.68 eV per atom

abc: 4.521 4.521 4.521
angles: 60.00 60.00 60.00
Positions (direct):
Ta1 0.250 0.250 0.250
Ta2 0.750 0.750 0.750
Tc1 0.000 0.000 0.000
Mo1 0.500 0.500 0.500

***

[2]
LaHg2: relaxed, r2SCAN.

Properties
Formation energy: -0.578 eV/atom
Calculated total energy: -43.40 eV per atom

abc: 5.065 5.065 3.556
angles: 90.00 90.00 120.00
Positions (direct):
La1 0.000 0.000 0.000
Hg1 0.333 0.667 0.500
Hg2 0.667 0.333 0.500

***

[3]
Br: relaxed, r2SCAN.

Properties
Formation energy: 0.108 eV/atom
Calculated total energy: -13.15 eV per atom

abc: 4.173 4.173 4.173
angles: 144.08 131.32 61.96
Positions (direct):
Br1 0.000 0.000 0.000

***

Question: What is the calculated total energy in the first record?
Answer: -37.68 eV per atom

***

Question: Among the records above, which one has the lowest calculated total energy?
Answer: LaHg2

***

Question: What is the formula in the second record?
Answer: LaHg2

***

Question: Look up the calculated total energy of the second one.
Answer: -43.40 eV per atom